(1)
First-principles (PBE) data for an optimized crystal structure of Na4Sn3O8, as listed in Materials Project.

## Properties
Its symmetry is No. 213.

Lattice parameters (Å, degrees): 9.354 9.354 9.354 90.00 90.00 90.00
Sites, in units of the cell vectors:
Na  0.106  0.125  0.856
Na  0.125  0.625  0.875
Na  0.125  0.856  0.106
Na  0.144  0.606  0.375
Na  0.356  0.394  0.875
Na  0.375  0.144  0.606
Na  0.375  0.375  0.375
Na  0.394  0.875  0.356
Na  0.606  0.375  0.144
Na  0.625  0.644  0.894
Na  0.625  0.875  0.125
Na  0.644  0.894  0.625
Na  0.856  0.106  0.125
Na  0.875  0.125  0.625
Na  0.875  0.356  0.394
Na  0.894  0.625  0.644
Sn  0.118  0.368  0.125
Sn  0.125  0.118  0.368
Sn  0.132  0.875  0.618
Sn  0.368  0.125  0.118
Sn  0.375  0.882  0.868
Sn  0.382  0.632  0.625
Sn  0.618  0.132  0.875
Sn  0.625  0.382  0.632
Sn  0.632  0.625  0.382
Sn  0.868  0.375  0.882
Sn  0.875  0.618  0.132
Sn  0.882  0.868  0.375
O  0.091  0.366  0.904
O  0.096  0.591  0.134
O  0.116  0.341  0.346
O  0.119  0.881  0.381
O  0.131  0.131  0.131
O  0.134  0.096  0.591
O  0.154  0.884  0.841
O  0.159  0.654  0.616
O  0.341  0.346  0.116
O  0.346  0.116  0.341
O  0.366  0.904  0.091
O  0.369  0.869  0.631
O  0.381  0.119  0.881
O  0.384  0.659  0.846
O  0.404  0.409  0.634
O  0.409  0.634  0.404
O  0.591  0.134  0.096
O  0.596  0.909  0.866
O  0.616  0.159  0.654
O  0.619  0.619  0.619
O  0.631  0.369  0.869
O  0.634  0.404  0.409
O  0.654  0.616  0.159
O  0.659  0.846  0.384
O  0.841  0.154  0.884
O  0.846  0.384  0.659
O  0.866  0.596  0.909
O  0.869  0.631  0.369
O  0.881  0.381  0.119
O  0.884  0.841  0.154
O  0.904  0.091  0.366
O  0.909  0.866  0.596

***

(2)
First-principles (PBE) data for an optimized crystal structure of PbClO, as listed in Materials Project.

## Properties
Its symmetry is No. 62.

Lattice parameters (Å, degrees): 6.984 3.878 9.190 90.00 90.00 90.00
Sites, in units of the cell vectors:
Pb  0.192  0.250  0.079
Pb  0.308  0.750  0.579
Pb  0.692  0.250  0.421
Pb  0.808  0.750  0.921
Cl  0.026  0.750  0.327
Cl  0.474  0.250  0.827
Cl  0.526  0.750  0.173
Cl  0.974  0.250  0.673
O  0.130  0.750  0.963
O  0.370  0.250  0.463
O  0.630  0.750  0.537
O  0.870  0.250  0.037

***

(3)
First-principles (PBE) data for an optimized crystal structure of TmNiSn2, as listed in Materials Project.

## Properties
Its symmetry is No. 62.

Lattice parameters (Å, degrees): 16.058 4.407 14.536 90.00 90.00 90.00
Sites, in units of the cell vectors:
Tm  0.126  0.250  0.225
Tm  0.146  0.750  0.602
Tm  0.152  0.250  0.974
Tm  0.348  0.750  0.474
Tm  0.354  0.250  0.102
Tm  0.374  0.750  0.725
Tm  0.626  0.250  0.275
Tm  0.646  0.750  0.898
Tm  0.652  0.250  0.526
Tm  0.848  0.750  0.026
Tm  0.854  0.250  0.398
Tm  0.874  0.750  0.775
Ni  0.053  0.750  0.108
Ni  0.192  0.250  0.745
Ni  0.200  0.250  0.454
Ni  0.300  0.750  0.954
Ni  0.308  0.750  0.245
Ni  0.447  0.250  0.608
Ni  0.553  0.750  0.392
Ni  0.692  0.250  0.755
Ni  0.700  0.250  0.046
Ni  0.800  0.750  0.546
Ni  0.808  0.750  0.255
Ni  0.947  0.250  0.892
Sn  0.020  0.750  0.923
Sn  0.031  0.250  0.734
Sn  0.043  0.250  0.447
Sn  0.175  0.750  0.368
Sn  0.183  0.750  0.823
Sn  0.215  0.750  0.105
Sn  0.285  0.250  0.605
Sn  0.317  0.250  0.323
Sn  0.325  0.250  0.868
Sn  0.457  0.750  0.947
Sn  0.469  0.750  0.234
Sn  0.480  0.250  0.423
Sn  0.520  0.750  0.577
Sn  0.531  0.250  0.766
Sn  0.543  0.250  0.053
Sn  0.675  0.750  0.132
Sn  0.683  0.750  0.677
Sn  0.715  0.750  0.395
Sn  0.785  0.250  0.895
Sn  0.817  0.250  0.177
Sn  0.825  0.250  0.632
Sn  0.957  0.750  0.553
Sn  0.969  0.750  0.266
Sn  0.980  0.250  0.077

***

In the order shown, the computed E_tot values come out to -5.495; -4.245; -5.108 eV/atom.
In the order shown, the computed formation energy from the elements values come out to -2.068; -0.971; -0.539 eV/atom.